1.
VASP calculation (PBE+U) on crystalline Na2MnPCO7 at its relaxed geometry.

Cell and atoms, written as POSCAR:
```
Na2MnPCO7
1.0
8.505 0.000 0.000
-2.120 8.263 0.000
-0.030 -0.184 8.964
Na Mn P C O
8 4 4 4 28
Direct
0.374 0.380 0.238
0.633 0.125 0.237
0.139 0.618 0.257
0.871 0.887 0.257
0.147 0.125 0.744
0.862 0.370 0.754
0.612 0.614 0.762
0.029 0.763 0.913
0.735 0.488 0.353
0.238 0.985 0.357
0.265 0.522 0.649
0.758 0.015 0.650
0.021 0.271 0.425
0.520 0.767 0.423
0.481 0.233 0.573
0.972 0.725 0.582
0.255 0.010 0.078
0.773 0.520 0.074
0.236 0.486 0.924
0.739 0.986 0.925
0.227 0.481 0.063
0.744 0.982 0.065
0.663 0.411 0.146
0.152 0.898 0.158
0.361 0.110 0.161
0.875 0.621 0.161
0.079 0.143 0.331
0.583 0.644 0.324
0.892 0.332 0.335
0.391 0.826 0.333
0.170 0.422 0.455
0.543 0.299 0.418
0.047 0.792 0.432
0.670 0.917 0.456
0.330 0.084 0.542
0.954 0.201 0.577
0.454 0.693 0.572
0.815 0.582 0.545
0.615 0.181 0.660
0.420 0.358 0.668
0.084 0.652 0.678
0.920 0.855 0.678
0.137 0.387 0.831
0.642 0.884 0.837
0.842 0.101 0.850
0.345 0.597 0.854
0.241 0.009 0.940
0.777 0.527 0.933
```

Summary:
space-group type: P1, No. 1
spin magnetization: 16.01 μB per cell
uncorrected energy: -6.8564 eV per atom
energy above the most stable polymorph in this dataset: 9.2 meV per atom


2.
VASP calculation (PBE+U) on crystalline Na2MnPCO7 at its relaxed geometry.

Cell and atoms, written as POSCAR:
```
Na2MnPCO7
1.0
-2.567 1.781 7.896
-5.599 -5.784 -2.847
5.305 -6.441 3.039
Na Mn P C O
8 4 4 4 28
Direct
0.371 0.378 0.240
0.642 0.116 0.249
0.136 0.623 0.254
0.136 0.131 0.753
0.861 0.365 0.755
0.616 0.612 0.755
0.381 0.887 0.751
0.997 0.767 0.932
0.736 0.492 0.350
0.227 0.985 0.352
0.264 0.518 0.648
0.767 0.015 0.646
0.022 0.274 0.419
0.518 0.769 0.421
0.478 0.228 0.575
0.979 0.727 0.583
0.262 0.008 0.071
0.768 0.514 0.070
0.239 0.490 0.927
0.739 0.990 0.924
0.233 0.490 0.067
0.733 0.986 0.063
0.654 0.411 0.144
0.154 0.899 0.147
0.364 0.112 0.154
0.877 0.610 0.153
0.094 0.157 0.326
0.573 0.635 0.333
0.889 0.330 0.330
0.390 0.826 0.328
0.166 0.430 0.456
0.544 0.293 0.421
0.054 0.792 0.433
0.665 0.918 0.457
0.325 0.077 0.546
0.955 0.201 0.572
0.447 0.702 0.576
0.827 0.579 0.548
0.605 0.170 0.670
0.418 0.356 0.668
0.100 0.667 0.686
0.923 0.854 0.679
0.138 0.390 0.836
0.642 0.887 0.830
0.851 0.098 0.850
0.350 0.599 0.853
0.254 0.002 0.928
0.767 0.518 0.927
```

Summary:
space-group type: P1, No. 1
spin magnetization: 16.00 μB per cell
uncorrected energy: -6.8546 eV per atom
energy above the most stable polymorph in this dataset: 10.9 meV per atom


3.
VASP calculation (PBE+U) on crystalline Na3MnPCO7 at its relaxed geometry.

Cell and atoms, written as POSCAR:
```
Na3MnPCO7
1.0
2.779 -1.488 5.959
-0.027 8.817 2.213
-9.692 -1.078 4.251
Na Mn P C O
12 4 4 4 28
Direct
0.485 0.002 0.502
0.485 0.002 0.002
0.985 0.998 0.998
0.985 0.998 0.498
0.220 0.166 0.221
0.220 0.166 0.721
0.720 0.834 0.279
0.720 0.834 0.779
0.491 0.493 0.246
0.491 0.493 0.746
0.991 0.507 0.254
0.991 0.507 0.754
0.738 0.294 0.510
0.238 0.706 0.989
0.738 0.294 0.011
0.238 0.706 0.489
0.238 0.343 0.492
0.238 0.343 0.992
0.738 0.657 0.008
0.738 0.657 0.508
0.738 0.150 0.249
0.738 0.150 0.749
0.238 0.850 0.251
0.238 0.850 0.751
0.738 0.051 0.161
0.738 0.051 0.661
0.238 0.949 0.339
0.238 0.949 0.839
0.735 0.107 0.367
0.735 0.107 0.867
0.235 0.893 0.133
0.235 0.893 0.633
0.053 0.249 0.032
0.053 0.249 0.532
0.553 0.751 0.468
0.553 0.750 0.968
0.422 0.253 0.037
0.422 0.253 0.538
0.922 0.747 0.463
0.922 0.747 0.962
0.743 0.289 0.222
0.743 0.289 0.722
0.243 0.711 0.278
0.243 0.711 0.778
0.240 0.366 0.348
0.240 0.366 0.848
0.740 0.634 0.152
0.740 0.634 0.652
0.234 0.493 0.063
0.234 0.493 0.563
0.734 0.507 0.437
0.734 0.507 0.937
```

Summary:
spin magnetization: 0.00 μB per cell
uncorrected energy: -6.6574 eV per atom
energy above the most stable polymorph in this dataset: 9.7 meV per atom


4.
VASP calculation (PBE+U) on crystalline Na2MnPCO7 at its relaxed geometry.

Cell and atoms, written as POSCAR:
```
Na2MnPCO7
1.0
-7.068 -3.694 -2.849
2.487 -5.196 6.253
-2.753 9.024 4.197
Na Mn P C O
8 4 4 4 28
Direct
0.767 0.747 0.257
0.478 0.023 0.262
0.986 0.477 0.230
0.516 0.014 0.755
0.996 0.491 0.755
0.236 0.245 0.752
0.766 0.773 0.761
0.451 0.706 0.923
0.944 0.187 0.353
0.442 0.686 0.352
0.557 0.312 0.643
0.060 0.805 0.648
0.187 0.936 0.423
0.701 0.445 0.426
0.311 0.560 0.576
0.806 0.061 0.575
0.762 0.016 0.074
0.281 0.532 0.074
0.720 0.475 0.922
0.226 0.968 0.919
0.312 0.033 0.055
0.786 0.540 0.061
0.432 0.671 0.153
0.908 0.156 0.146
0.701 0.955 0.156
0.215 0.473 0.153
0.277 0.838 0.331
0.062 0.003 0.330
0.781 0.335 0.332
0.605 0.537 0.339
0.163 0.421 0.431
0.569 0.317 0.460
0.065 0.796 0.457
0.664 0.921 0.424
0.326 0.086 0.572
0.444 0.692 0.544
0.942 0.196 0.547
0.846 0.586 0.578
0.245 0.671 0.684
0.420 0.480 0.671
0.722 0.170 0.667
0.909 0.979 0.667
0.780 0.538 0.839
0.271 0.022 0.824
0.574 0.332 0.844
0.078 0.827 0.849
0.688 0.945 0.932
0.221 0.474 0.934
```

Summary:
space-group type: P1, No. 1
spin magnetization: 16.01 μB per cell
uncorrected energy: -6.8548 eV per atom
energy above the most stable polymorph in this dataset: 10.7 meV per atom


5.
VASP calculation (PBE+U) on crystalline Na5Mn2P2C2O14 at its relaxed geometry.

Cell and atoms, written as POSCAR:
```
Na5Mn2P2C2O14
1.0
0.074 6.630 -0.009
0.061 -0.013 10.568
9.043 0.107 -5.205
Na Mn P C O
10 4 4 4 28
Direct
0.226 0.433 0.090
0.226 0.932 0.090
0.495 0.254 0.262
0.495 0.754 0.262
0.501 0.744 0.739
0.502 0.244 0.739
0.990 0.742 0.735
0.990 0.242 0.735
0.762 0.581 0.929
0.762 0.081 0.929
0.763 0.065 0.350
0.249 0.435 0.646
0.763 0.564 0.349
0.249 0.935 0.646
0.257 0.561 0.421
0.257 0.061 0.421
0.747 0.439 0.581
0.747 0.939 0.580
0.743 0.390 0.057
0.743 0.891 0.057
0.252 0.607 0.936
0.253 0.106 0.936
0.275 0.171 0.074
0.275 0.671 0.074
0.757 0.533 0.130
0.757 0.033 0.130
0.733 0.322 0.131
0.733 0.822 0.131
0.070 0.542 0.327
0.071 0.042 0.327
0.442 0.551 0.322
0.442 0.051 0.322
0.274 0.433 0.456
0.274 0.933 0.456
0.740 0.296 0.436
0.741 0.795 0.436
0.251 0.706 0.570
0.251 0.206 0.570
0.749 0.572 0.553
0.749 0.072 0.553
0.562 0.458 0.686
0.563 0.959 0.686
0.934 0.451 0.676
0.934 0.952 0.676
0.239 0.675 0.861
0.240 0.175 0.861
0.240 0.462 0.860
0.240 0.962 0.860
0.744 0.823 0.914
0.744 0.323 0.914
```

Summary:
space-group type: P1, No. 1
spin magnetization: 18.01 μB per cell
uncorrected energy: -6.7488 eV per atom
energy above the most stable polymorph in this dataset: 12.6 meV per atom


6.
VASP calculation (PBE+U) on crystalline Na5Mn2P2C2O14 at its relaxed geometry.

Cell and atoms, written as POSCAR:
```
Na5Mn2P2C2O14
1.0
8.469 0.000 0.000
-1.975 8.279 0.000
-0.102 -0.057 9.057
Na Mn P C O
10 4 4 4 28
Direct
0.252 0.513 0.929
0.627 0.635 0.745
0.863 0.355 0.748
0.394 0.886 0.743
0.112 0.121 0.746
0.881 0.871 0.255
0.623 0.120 0.249
0.378 0.378 0.259
0.240 0.979 0.084
0.757 0.495 0.085
0.511 0.264 0.646
0.016 0.763 0.639
0.476 0.734 0.354
0.989 0.244 0.352
0.729 0.975 0.575
0.224 0.477 0.583
0.773 0.524 0.423
0.275 0.028 0.416
0.986 0.740 0.928
0.489 0.240 0.941
0.511 0.756 0.066
0.017 0.264 0.067
0.501 0.752 0.924
0.017 0.268 0.925
0.601 0.351 0.879
0.096 0.844 0.851
0.884 0.631 0.853
0.388 0.138 0.856
0.862 0.912 0.664
0.347 0.423 0.688
0.676 0.104 0.669
0.162 0.609 0.673
0.579 0.827 0.552
0.705 0.460 0.574
0.213 0.959 0.569
0.075 0.328 0.555
0.920 0.673 0.451
0.794 0.041 0.423
0.297 0.540 0.435
0.416 0.181 0.439
0.827 0.393 0.329
0.646 0.582 0.324
0.338 0.905 0.320
0.137 0.075 0.323
0.614 0.861 0.143
0.127 0.360 0.145
0.903 0.163 0.140
0.406 0.646 0.139
0.987 0.749 0.068
0.477 0.232 0.083
```

Summary:
space-group type: P1, No. 1
spin magnetization: 18.00 μB per cell
uncorrected energy: -6.7546 eV per atom
energy above the most stable polymorph in this dataset: 6.8 meV per atom


7.
VASP calculation (PBE+U) on crystalline Na6Mn2C4SO16 at its relaxed geometry.

Cell and atoms, written as POSCAR:
```
Na6Mn2C4SO16
1.0
8.711 -4.029 2.915
0.941 -3.756 9.253
0.743 -9.913 1.337
Na Mn C S O
12 4 8 2 32
Direct
0.786 0.786 0.214
0.464 0.036 0.036
0.214 0.786 0.214
0.786 0.214 0.786
0.036 0.464 0.464
0.036 0.036 0.464
0.214 0.786 0.786
0.214 0.214 0.786
0.464 0.036 0.464
0.036 0.464 0.036
0.786 0.214 0.214
0.464 0.464 0.036
0.125 0.625 0.625
0.625 0.625 0.625
0.625 0.625 0.125
0.625 0.125 0.625
0.788 0.404 0.404
0.404 0.788 0.404
0.404 0.404 0.404
0.404 0.404 0.788
0.846 0.846 0.462
0.846 0.462 0.846
0.846 0.846 0.846
0.462 0.846 0.846
0.000 0.000 0.000
0.250 0.250 0.250
0.728 0.985 0.826
0.461 0.826 0.985
0.789 0.522 0.424
0.522 0.789 0.265
0.789 0.265 0.522
0.061 0.061 0.817
0.424 0.522 0.265
0.061 0.061 0.061
0.061 0.817 0.061
0.424 0.789 0.522
0.265 0.789 0.424
0.817 0.061 0.061
0.522 0.424 0.789
0.265 0.424 0.522
0.424 0.265 0.789
0.985 0.728 0.461
0.265 0.522 0.789
0.826 0.985 0.461
0.985 0.826 0.728
0.728 0.826 0.461
0.433 0.189 0.189
0.985 0.461 0.826
0.826 0.461 0.728
0.189 0.433 0.189
0.189 0.189 0.189
0.826 0.728 0.985
0.189 0.189 0.433
0.461 0.985 0.728
0.728 0.461 0.985
0.461 0.728 0.826
0.789 0.424 0.265
0.522 0.265 0.424
```

Summary:
space-group type: Fd-3, No. 203
uncorrected energy: -6.6597 eV per atom


8.
VASP calculation (PBE+U) on crystalline Na2MnCSO7 at its relaxed geometry.

Cell and atoms, written as POSCAR:
```
Na2MnCSO7
1.0
0.122 0.000 5.344
9.189 0.000 -0.021
0.000 6.869 0.000
Na Mn C S O
4 2 2 2 14
Direct
0.232 0.203 0.508
0.232 0.203 0.992
0.768 0.797 0.492
0.768 0.797 0.008
0.227 0.637 0.250
0.773 0.363 0.750
0.727 0.081 0.750
0.273 0.919 0.250
0.725 0.423 0.250
0.275 0.577 0.750
0.303 0.056 0.250
0.697 0.944 0.750
0.948 0.141 0.750
0.052 0.859 0.250
0.535 0.174 0.750
0.465 0.826 0.250
0.176 0.425 0.750
0.824 0.575 0.250
0.443 0.433 0.250
0.557 0.567 0.750
0.813 0.344 0.074
0.813 0.344 0.426
0.187 0.656 0.574
0.187 0.656 0.926
```

Summary:
space-group type: P2_1/m, No. 11
spin magnetization: 0.00 μB per cell
uncorrected energy: -6.5361 eV per atom


Repeat the seventh record exactly.
VASP calculation (PBE+U) on crystalline Na6Mn2C4SO16 at its relaxed geometry.

Cell and atoms, written as POSCAR:
```
Na6Mn2C4SO16
1.0
8.711 -4.029 2.915
0.941 -3.756 9.253
0.743 -9.913 1.337
Na Mn C S O
12 4 8 2 32
Direct
0.786 0.786 0.214
0.464 0.036 0.036
0.214 0.786 0.214
0.786 0.214 0.786
0.036 0.464 0.464
0.036 0.036 0.464
0.214 0.786 0.786
0.214 0.214 0.786
0.464 0.036 0.464
0.036 0.464 0.036
0.786 0.214 0.214
0.464 0.464 0.036
0.125 0.625 0.625
0.625 0.625 0.625
0.625 0.625 0.125
0.625 0.125 0.625
0.788 0.404 0.404
0.404 0.788 0.404
0.404 0.404 0.404
0.404 0.404 0.788
0.846 0.846 0.462
0.846 0.462 0.846
0.846 0.846 0.846
0.462 0.846 0.846
0.000 0.000 0.000
0.250 0.250 0.250
0.728 0.985 0.826
0.461 0.826 0.985
0.789 0.522 0.424
0.522 0.789 0.265
0.789 0.265 0.522
0.061 0.061 0.817
0.424 0.522 0.265
0.061 0.061 0.061
0.061 0.817 0.061
0.424 0.789 0.522
0.265 0.789 0.424
0.817 0.061 0.061
0.522 0.424 0.789
0.265 0.424 0.522
0.424 0.265 0.789
0.985 0.728 0.461
0.265 0.522 0.789
0.826 0.985 0.461
0.985 0.826 0.728
0.728 0.826 0.461
0.433 0.189 0.189
0.985 0.461 0.826
0.826 0.461 0.728
0.189 0.433 0.189
0.189 0.189 0.189
0.826 0.728 0.985
0.189 0.189 0.433
0.461 0.985 0.728
0.728 0.461 0.985
0.461 0.728 0.826
0.789 0.424 0.265
0.522 0.265 0.424
```

Summary:
space-group type: Fd-3, No. 203
uncorrected energy: -6.6597 eV per atom


What did the first record say?
VASP calculation (PBE+U) on crystalline Na2MnPCO7 at its relaxed geometry.

Cell and atoms, written as POSCAR:
```
Na2MnPCO7
1.0
8.505 0.000 0.000
-2.120 8.263 0.000
-0.030 -0.184 8.964
Na Mn P C O
8 4 4 4 28
Direct
0.374 0.380 0.238
0.633 0.125 0.237
0.139 0.618 0.257
0.871 0.887 0.257
0.147 0.125 0.744
0.862 0.370 0.754
0.612 0.614 0.762
0.029 0.763 0.913
0.735 0.488 0.353
0.238 0.985 0.357
0.265 0.522 0.649
0.758 0.015 0.650
0.021 0.271 0.425
0.520 0.767 0.423
0.481 0.233 0.573
0.972 0.725 0.582
0.255 0.010 0.078
0.773 0.520 0.074
0.236 0.486 0.924
0.739 0.986 0.925
0.227 0.481 0.063
0.744 0.982 0.065
0.663 0.411 0.146
0.152 0.898 0.158
0.361 0.110 0.161
0.875 0.621 0.161
0.079 0.143 0.331
0.583 0.644 0.324
0.892 0.332 0.335
0.391 0.826 0.333
0.170 0.422 0.455
0.543 0.299 0.418
0.047 0.792 0.432
0.670 0.917 0.456
0.330 0.084 0.542
0.954 0.201 0.577
0.454 0.693 0.572
0.815 0.582 0.545
0.615 0.181 0.660
0.420 0.358 0.668
0.084 0.652 0.678
0.920 0.855 0.678
0.137 0.387 0.831
0.642 0.884 0.837
0.842 0.101 0.850
0.345 0.597 0.854
0.241 0.009 0.940
0.777 0.527 0.933
```

Summary:
space-group type: P1, No. 1
spin magnetization: 16.01 μB per cell
uncorrected energy: -6.8564 eV per atom
energy above the most stable polymorph in this dataset: 9.2 meV per atom